Entry 1:
# Na2Ti2Si2H2O9, optimized geometry, DFT PBE
# - formation enthalpy at 0 K (kJ/mol of atoms) = -240
# - final energy (eV/cell) = -233.51
data_Na2Ti2Si2H2O9
_cell_length_a 5.4317
_cell_length_b 7.0978
_cell_length_c 11.8648
_cell_angle_alpha 93.72
_cell_angle_beta 97.66
_cell_angle_gamma 90.33
_space_group_name_H-M_alt 'P 1'
_space_group_IT_number 1
loop_
_space_group_symop_operation_xyz
'x,y,z'
loop_
_atom_site_label
_atom_site_type_symbol
_atom_site_fract_x
_atom_site_fract_y
_atom_site_fract_z
_atom_site_occupancy
Na1 Na 0.0000 0.0000 0.0000 1
Na2 Na 0.0692 0.2125 0.7156 1
Na3 Na 0.5666 0.4396 0.6930 1
Na4 Na 0.6355 0.6567 0.4073 1
Ti1 Ti 0.0393 0.7155 0.7004 1
Ti2 Ti 0.5962 0.9395 0.7067 1
Ti3 Ti 0.6427 0.1529 0.4543 1
Ti4 Ti 0.9882 0.5074 0.9534 1
Si1 Si 0.1427 0.4524 0.4749 1
Si2 Si 0.1543 0.8830 0.4614 1
Si3 Si 0.4756 0.7784 0.9468 1
Si4 Si 0.4925 0.2082 0.9316 1
H1 H 0.0621 0.1034 0.2068 1
H2 H 0.0655 0.5018 0.1613 1
H3 H 0.5478 0.5663 0.1955 1
H4 H 0.5910 0.1725 0.2482 1
O1 O 0.1319 0.6574 0.4154 1
O2 O 0.1655 0.4967 0.6145 1
O3 O 0.2200 0.8943 0.6042 1
O4 O 0.2402 0.6978 0.0018 1
O5 O 0.2440 0.3151 0.9613 1
O6 O 0.3882 0.9653 0.4063 1
O7 O 0.3945 0.3518 0.4440 1
O8 O 0.4131 0.7654 0.8038 1
O9 O 0.4720 0.1618 0.7926 1
O10 O 0.4950 0.0044 0.9921 1
O11 O 0.6780 0.1309 0.6062 1
O12 O 0.7307 0.7256 0.6171 1
O13 O 0.7445 0.6918 0.9898 1
O14 O 0.7610 0.3074 0.9773 1
O15 O 0.8772 0.3488 0.4305 1
O16 O 0.8845 0.9682 0.4187 1
O17 O 0.9048 0.9302 0.7897 1
O18 O 0.9508 0.5274 0.8013 1

Entry 2:
# EuBiPd2, optimized geometry, DFT PBE
# - formation enthalpy at 0 K (kJ/mol of atoms) = -57
# - final energy (eV/cell) = -26.87
data_EuBiPd2
_cell_length_a 5.0043
_cell_length_b 5.0043
_cell_length_c 5.0043
_cell_angle_alpha 60.00
_cell_angle_beta 60.00
_cell_angle_gamma 60.00
_space_group_name_H-M_alt 'P 1'
_space_group_IT_number 1
loop_
_space_group_symop_operation_xyz
'x,y,z'
loop_
_atom_site_label
_atom_site_type_symbol
_atom_site_fract_x
_atom_site_fract_y
_atom_site_fract_z
_atom_site_occupancy
Eu1 Eu 0.0000 0.0000 0.0000 1
Bi1 Bi 0.5000 0.5000 0.5000 1
Pd1 Pd 0.2500 0.2500 0.2500 1
Pd2 Pd 0.7500 0.7500 0.7500 1

Entry 3:
# Nd2Tc2O7, optimized geometry, DFT PBE
# - formation enthalpy at 0 K (kJ/mol of atoms) = -265
# - final energy (eV/cell) = -180.57
data_Nd2Tc2O7
_cell_length_a 7.4515
_cell_length_b 7.4515
_cell_length_c 7.4515
_cell_angle_alpha 60.00
_cell_angle_beta 60.00
_cell_angle_gamma 60.00
_space_group_name_H-M_alt 'P 1'
_space_group_IT_number 1
loop_
_space_group_symop_operation_xyz
'x,y,z'
loop_
_atom_site_label
_atom_site_type_symbol
_atom_site_fract_x
_atom_site_fract_y
_atom_site_fract_z
_atom_site_occupancy
Nd1 Nd 0.0000 0.0000 0.0000 1
Nd2 Nd 0.0000 0.0000 0.5000 1
Nd3 Nd 0.0000 0.5000 0.0000 1
Nd4 Nd 0.5000 0.0000 0.0000 1
Tc1 Tc 0.0000 0.5000 0.5000 1
Tc2 Tc 0.5000 0.0000 0.5000 1
Tc3 Tc 0.5000 0.5000 0.0000 1
Tc4 Tc 0.5000 0.5000 0.5000 1
O1 O 0.1250 0.1250 0.1250 1
O2 O 0.1676 0.1676 0.5824 1
O3 O 0.1676 0.5824 0.1676 1
O4 O 0.1676 0.5824 0.5824 1
O5 O 0.4176 0.4176 0.8324 1
O6 O 0.4176 0.8324 0.4176 1
O7 O 0.4176 0.8324 0.8324 1
O8 O 0.5824 0.1676 0.1676 1
O9 O 0.5824 0.1676 0.5824 1
O10 O 0.5824 0.5824 0.1676 1
O11 O 0.8324 0.4176 0.4176 1
O12 O 0.8324 0.4176 0.8324 1
O13 O 0.8324 0.8324 0.4176 1
O14 O 0.8750 0.8750 0.8750 1

Question: Which value of final energy does entry 3 give?
Answer: -180.57 eV/cell

Repeat the third record exactly.
# Nd2Tc2O7, optimized geometry, DFT PBE
# - formation enthalpy at 0 K (kJ/mol of atoms) = -265
# - final energy (eV/cell) = -180.57
data_Nd2Tc2O7
_cell_length_a 7.4515
_cell_length_b 7.4515
_cell_length_c 7.4515
_cell_angle_alpha 60.00
_cell_angle_beta 60.00
_cell_angle_gamma 60.00
_space_group_name_H-M_alt 'P 1'
_space_group_IT_number 1
loop_
_space_group_symop_operation_xyz
'x,y,z'
loop_
_atom_site_label
_atom_site_type_symbol
_atom_site_fract_x
_atom_site_fract_y
_atom_site_fract_z
_atom_site_occupancy
Nd1 Nd 0.0000 0.0000 0.0000 1
Nd2 Nd 0.0000 0.0000 0.5000 1
Nd3 Nd 0.0000 0.5000 0.0000 1
Nd4 Nd 0.5000 0.0000 0.0000 1
Tc1 Tc 0.0000 0.5000 0.5000 1
Tc2 Tc 0.5000 0.0000 0.5000 1
Tc3 Tc 0.5000 0.5000 0.0000 1
Tc4 Tc 0.5000 0.5000 0.5000 1
O1 O 0.1250 0.1250 0.1250 1
O2 O 0.1676 0.1676 0.5824 1
O3 O 0.1676 0.5824 0.1676 1
O4 O 0.1676 0.5824 0.5824 1
O5 O 0.4176 0.4176 0.8324 1
O6 O 0.4176 0.8324 0.4176 1
O7 O 0.4176 0.8324 0.8324 1
O8 O 0.5824 0.1676 0.1676 1
O9 O 0.5824 0.1676 0.5824 1
O10 O 0.5824 0.5824 0.1676 1
O11 O 0.8324 0.4176 0.4176 1
O12 O 0.8324 0.4176 0.8324 1
O13 O 0.8324 0.8324 0.4176 1
O14 O 0.8750 0.8750 0.8750 1

What did the third record say?
# Nd2Tc2O7, optimized geometry, DFT PBE
# - formation enthalpy at 0 K (kJ/mol of atoms) = -265
# - final energy (eV/cell) = -180.57
data_Nd2Tc2O7
_cell_length_a 7.4515
_cell_length_b 7.4515
_cell_length_c 7.4515
_cell_angle_alpha 60.00
_cell_angle_beta 60.00
_cell_angle_gamma 60.00
_space_group_name_H-M_alt 'P 1'
_space_group_IT_number 1
loop_
_space_group_symop_operation_xyz
'x,y,z'
loop_
_atom_site_label
_atom_site_type_symbol
_atom_site_fract_x
_atom_site_fract_y
_atom_site_fract_z
_atom_site_occupancy
Nd1 Nd 0.0000 0.0000 0.0000 1
Nd2 Nd 0.0000 0.0000 0.5000 1
Nd3 Nd 0.0000 0.5000 0.0000 1
Nd4 Nd 0.5000 0.0000 0.0000 1
Tc1 Tc 0.0000 0.5000 0.5000 1
Tc2 Tc 0.5000 0.0000 0.5000 1
Tc3 Tc 0.5000 0.5000 0.0000 1
Tc4 Tc 0.5000 0.5000 0.5000 1
O1 O 0.1250 0.1250 0.1250 1
O2 O 0.1676 0.1676 0.5824 1
O3 O 0.1676 0.5824 0.1676 1
O4 O 0.1676 0.5824 0.5824 1
O5 O 0.4176 0.4176 0.8324 1
O6 O 0.4176 0.8324 0.4176 1
O7 O 0.4176 0.8324 0.8324 1
O8 O 0.5824 0.1676 0.1676 1
O9 O 0.5824 0.1676 0.5824 1
O10 O 0.5824 0.5824 0.1676 1
O11 O 0.8324 0.4176 0.4176 1
O12 O 0.8324 0.4176 0.8324 1
O13 O 0.8324 0.8324 0.4176 1
O14 O 0.8750 0.8750 0.8750 1